The following is a PBE+U calculation of a geometry-optimized Li2MnFeB2O6 structure, from Materials Project.

Crystal system: triclinic
Energy relative to the lowest polymorph listed for this composition, eV per formula unit: 0.03
Magnetization, μB per atom: 0.00
Formation energy, eV per atom: -2.42

Cell: 5.2629 6.0198 8.9827 Å, 102.40 90.96 113.78°
Last column: nearest neighbours and their distance in Å.
Space group P-1 (No. 2)
Asymmetric unit:
Li 0.1531 0.1711 0.2823 x2  4 O 1.95-2.04
Li 0.3409 0.8239 0.2151 x2  4 O 1.94-2.05
Mn 0.2949 0.7358 0.5452 x2  4 O 2.08-2.21
Fe 0.2030 0.2658 0.9611 x2  4 O 2.00-2.19
B 0.1957 0.2376 0.6193 x2  3 O 1.38-1.41
B 0.3090 0.7592 0.8853 x2  3 O 1.38-1.40
O 0.0298 0.2050 0.7373 x2  1 B 1.38
O 0.0747 0.8138 0.8867 x2  1 B 1.40
O 0.1295 0.3240 0.4970 x2  1 B 1.41
O 0.3785 0.6741 0.0070 x2  1 B 1.40
O 0.4238 0.1757 0.6160 x2  1 B 1.39
O 0.4782 0.7983 0.7692 x2  1 B 1.38